{
  "formula": "BaTcO3",
  "functional": "PBE",
  "state": "optimized geometry",
  "e_tot_ev_per_cell": -224.4,
  "vol_a3_per_atom": 13.9,
  "formation_enthalpy_0k_mev_per_atom": -2466,
  "sg": "P6_3/mmc, No. 194",
  "rho_g_cm3": 6.761,
  "lattice_angstrom": [[-5.072, 2.863, 0.476], [0.554, -4.338, -3.876], [-4.311, -9.257, 9.746]],
  "species": ["Ba", "Ba", "Ba", "Ba", "Ba", "Ba", "Tc", "Tc", "Tc", "Tc", "Tc", "Tc", "O", "O", "O", "O", "O", "O", "O", "O", "O", "O", "O", "O", "O", "O", "O", "O", "O", "O"],
  "frac_coords": [[0.667, 0.333, 0.593], [0.333, 0.667, 0.407], [0.667, 0.333, 0.907], [0.000, 0.000, 0.250], [0.333, 0.667, 0.093], [0.000, 0.000, 0.750], [0.333, 0.667, 0.661], [0.667, 0.333, 0.161], [0.333, 0.667, 0.839], [0.667, 0.333, 0.339], [0.000, 0.000, 0.500], [0.000, 0.000, 0.000], [0.834, 0.166, 0.418], [0.834, 0.669, 0.082], [0.669, 0.834, 0.582], [0.834, 0.166, 0.082], [0.166, 0.331, 0.918], [0.834, 0.669, 0.418], [0.507, 0.493, 0.250], [0.331, 0.166, 0.418], [0.166, 0.834, 0.918], [0.507, 0.014, 0.250], [0.166, 0.834, 0.582], [0.493, 0.986, 0.750], [0.014, 0.507, 0.750], [0.493, 0.507, 0.750], [0.166, 0.331, 0.582], [0.669, 0.834, 0.918], [0.986, 0.493, 0.250], [0.331, 0.166, 0.082]]
}

=====

{
  "formula": "Na3RuN2",
  "functional": "PBE",
  "state": "optimized geometry",
  "e_above_lowest_polymorph_mev_per_atom": 141,
  "e_tot_ev_per_cell": -221.0,
  "vol_a3_per_atom": 13.7,
  "formation_enthalpy_0k_mev_per_atom": 261,
  "sg": "Ia-3, No. 206",
  "rho_g_cm3": 4.002,
  "lattice_angstrom": [[9.487, 0.000, 0.000], [6.325, 8.945, 0.000], [-6.325, 4.472, 7.746]],
  "species": ["Na", "Na", "Na", "Na", "Na", "Na", "Na", "Na", "Na", "Na", "Na", "Na", "Na", "Na", "Na", "Na", "Na", "Na", "Na", "Na", "Na", "Na", "Na", "Na", "Ru", "Ru", "Ru", "Ru", "Ru", "Ru", "Ru", "Ru", "N", "N", "N", "N", "N", "N", "N", "N", "N", "N", "N", "N", "N", "N", "N", "N"],
  "frac_coords": [[0.192, 0.064, 0.956], [0.808, 0.756, 0.544], [0.808, 0.436, 0.764], [0.192, 0.744, 0.736], [0.280, 0.764, 0.301], [0.720, 0.736, 0.020], [0.280, 0.956, 0.480], [0.720, 0.544, 0.199], [0.679, 0.020, 0.744], [0.679, 0.301, 0.436], [0.321, 0.199, 0.756], [0.321, 0.480, 0.064], [0.808, 0.936, 0.044], [0.192, 0.244, 0.456], [0.192, 0.564, 0.236], [0.808, 0.256, 0.264], [0.720, 0.236, 0.699], [0.280, 0.264, 0.980], [0.720, 0.044, 0.520], [0.280, 0.456, 0.801], [0.321, 0.980, 0.256], [0.321, 0.699, 0.564], [0.679, 0.801, 0.244], [0.679, 0.520, 0.936], [0.203, 0.000, 0.703], [0.797, 0.703, 0.797], [0.797, 0.500, 0.500], [0.203, 0.797, 0.000], [0.797, 0.000, 0.297], [0.203, 0.297, 0.203], [0.203, 0.500, 0.500], [0.797, 0.203, 0.000], [0.000, 0.000, 0.500], [0.000, 0.500, 0.000], [0.000, 0.500, 0.500], [0.000, 0.000, 0.000], [0.500, 0.933, 0.750], [0.500, 0.567, 0.250], [0.000, 0.250, 0.683], [0.000, 0.750, 0.817], [0.633, 0.683, 0.567], [0.367, 0.817, 0.933], [0.500, 0.067, 0.250], [0.500, 0.433, 0.750], [0.000, 0.750, 0.317], [0.000, 0.250, 0.183], [0.367, 0.317, 0.433], [0.633, 0.183, 0.067]]
}

=====

{
  "formula": "Sr2LuNbO6",
  "functional": "PBE",
  "state": "optimized geometry",
  "e_tot_ev_per_cell": -78.3,
  "vol_a3_per_atom": 14.5,
  "formation_enthalpy_0k_mev_per_atom": -3477,
  "sg": "Fm-3m, No. 225",
  "rho_g_cm3": 6.192,
  "lattice_angstrom": [[-2.454, -5.313, -0.677], [-5.844, -0.496, -0.554], [-2.349, -1.520, -5.184]],
  "species": ["Sr", "Sr", "Lu", "Nb", "O", "O", "O", "O", "O", "O"],
  "frac_coords": [[0.250, 0.250, 0.250], [0.750, 0.750, 0.750], [0.500, 0.500, 0.500], [0.000, 0.000, 0.000], [0.759, 0.241, 0.241], [0.241, 0.759, 0.759], [0.241, 0.759, 0.241], [0.759, 0.241, 0.759], [0.241, 0.241, 0.759], [0.759, 0.759, 0.241]]
}

=====

{
  "formula": "Na2Mg5Sn3S12O48",
  "functional": "PBE",
  "state": "optimized geometry",
  "e_tot_ev_per_cell": -1279.9,
  "vol_a3_per_atom": 14.1,
  "formation_enthalpy_0k_mev_per_atom": -2140,
  "sg": "P1, No. 1",
  "rho_g_cm3": 2.819,
  "lattice_angstrom": [[-5.912, 14.224, 8.013], [4.501, -5.936, 4.456], [19.279, 10.864, -5.041]],
  "species": ["Na", "Na", "Na", "Na", "Na", "Na", "Mg", "Mg", "Mg", "Mg", "Mg", "Mg", "Mg", "Mg", "Mg", "Mg", "Mg", "Mg", "Mg", "Mg", "Mg", "Sn", "Sn", "Sn", "Sn", "Sn", "Sn", "Sn", "Sn", "Sn", "S", "S", "S", "S", "S", "S", "S", "S", "S", "S", "S", "S", "S", "S", "S", "S", "S", "S", "S", "S", "S", "S", "S", "S", "S", "S", "S", "S", "S", "S", "S", "S", "S", "S", "S", "S", "O", "O", "O", "O", "O", "O", "O", "O", "O", "O", "O", "O", "O", "O", "O", "O", "O", "O", "O", "O", "O", "O", "O", "O", "O", "O", "O", "O", "O", "O", "O", "O", "O", "O", "O", "O", "O", "O", "O", "O", "O", "O", "O", "O", "O", "O", "O", "O", "O", "O", "O", "O", "O", "O", "O", "O", "O", "O", "O", "O", "O", "O", "O", "O", "O", "O", "O", "O", "O", "O", "O", "O", "O", "O", "O", "O", "O", "O", "O", "O", "O", "O", "O", "O", "O", "O", "O", "O", "O", "O", "O", "O", "O", "O", "O", "O", "O", "O", "O", "O", "O", "O", "O", "O", "O", "O", "O", "O", "O", "O", "O", "O", "O", "O", "O", "O", "O", "O", "O", "O", "O", "O", "O", "O", "O", "O", "O", "O", "O", "O", "O", "O", "O", "O", "O", "O", "O", "O", "O", "O", "O", "O", "O", "O"],
  "frac_coords": [[0.000, 0.000, 0.502], [0.503, 0.005, 0.997], [0.335, 0.336, 0.829], [0.832, 0.331, 0.830], [0.332, 0.333, 0.339], [0.835, 0.333, 0.334], [0.999, 0.000, 0.354], [0.501, 0.001, 0.850], [0.000, 0.000, 0.648], [0.505, 0.005, 0.148], [0.332, 0.331, 0.685], [0.835, 0.336, 0.685], [0.832, 0.333, 0.185], [0.334, 0.335, 0.978], [0.832, 0.332, 0.982], [0.332, 0.333, 0.484], [0.835, 0.334, 0.484], [0.163, 0.659, 0.313], [0.670, 0.674, 0.311], [0.168, 0.667, 0.808], [0.665, 0.666, 0.808], [0.501, 0.999, 0.353], [0.999, 0.000, 0.848], [0.500, 0.000, 0.650], [0.995, 0.996, 0.150], [0.334, 0.333, 0.184], [0.164, 0.666, 0.016], [0.669, 0.666, 0.017], [0.165, 0.665, 0.521], [0.668, 0.668, 0.521], [0.146, 0.999, 0.251], [0.647, 0.000, 0.249], [0.353, 0.709, 0.249], [0.853, 0.703, 0.252], [0.999, 0.293, 0.251], [0.501, 0.294, 0.249], [0.148, 0.294, 0.749], [0.648, 0.294, 0.752], [0.000, 0.704, 0.749], [0.498, 0.704, 0.752], [0.354, 0.002, 0.752], [0.852, 0.001, 0.749], [0.478, 0.332, 0.583], [0.978, 0.329, 0.583], [0.187, 0.044, 0.583], [0.688, 0.044, 0.584], [0.334, 0.625, 0.584], [0.835, 0.626, 0.583], [0.480, 0.627, 0.081], [0.979, 0.625, 0.083], [0.334, 0.040, 0.081], [0.833, 0.044, 0.083], [0.186, 0.332, 0.082], [0.687, 0.332, 0.082], [0.313, 0.667, 0.916], [0.814, 0.666, 0.914], [0.020, 0.373, 0.915], [0.520, 0.372, 0.915], [0.167, 0.961, 0.914], [0.667, 0.959, 0.916], [0.312, 0.960, 0.414], [0.813, 0.961, 0.416], [0.168, 0.374, 0.415], [0.668, 0.377, 0.415], [0.019, 0.667, 0.415], [0.520, 0.662, 0.415], [0.106, 0.036, 0.301], [0.609, 0.041, 0.305], [0.410, 0.780, 0.304], [0.913, 0.793, 0.302], [0.479, 0.179, 0.304], [0.985, 0.175, 0.301], [0.112, 0.181, 0.806], [0.605, 0.176, 0.802], [0.483, 0.790, 0.802], [0.979, 0.776, 0.806], [0.412, 0.033, 0.802], [0.909, 0.043, 0.806], [0.391, 0.967, 0.695], [0.897, 0.974, 0.699], [0.090, 0.205, 0.699], [0.593, 0.219, 0.695], [0.013, 0.820, 0.699], [0.516, 0.815, 0.695], [0.396, 0.815, 0.197], [0.889, 0.811, 0.195], [0.019, 0.219, 0.195], [0.510, 0.207, 0.197], [0.096, 0.974, 0.194], [0.589, 0.973, 0.199], [0.440, 0.362, 0.636], [0.939, 0.360, 0.635], [0.242, 0.122, 0.635], [0.741, 0.121, 0.636], [0.320, 0.519, 0.636], [0.820, 0.517, 0.635], [0.443, 0.517, 0.138], [0.941, 0.519, 0.136], [0.315, 0.112, 0.137], [0.820, 0.120, 0.137], [0.241, 0.369, 0.138], [0.741, 0.362, 0.135], [0.229, 0.304, 0.032], [0.727, 0.308, 0.029], [0.423, 0.539, 0.031], [0.927, 0.549, 0.030], [0.346, 0.152, 0.031], [0.847, 0.149, 0.030], [0.227, 0.147, 0.529], [0.726, 0.147, 0.530], [0.348, 0.549, 0.530], [0.846, 0.545, 0.528], [0.426, 0.305, 0.529], [0.927, 0.306, 0.529], [0.276, 0.702, 0.973], [0.779, 0.704, 0.971], [0.074, 0.443, 0.971], [0.574, 0.447, 0.973], [0.149, 0.854, 0.971], [0.649, 0.850, 0.973], [0.276, 0.850, 0.469], [0.774, 0.849, 0.471], [0.151, 0.451, 0.471], [0.649, 0.450, 0.470], [0.075, 0.701, 0.471], [0.575, 0.699, 0.470], [0.063, 0.641, 0.364], [0.562, 0.639, 0.363], [0.258, 0.875, 0.362], [0.757, 0.874, 0.365], [0.181, 0.487, 0.364], [0.679, 0.484, 0.363], [0.064, 0.487, 0.865], [0.564, 0.487, 0.865], [0.180, 0.873, 0.864], [0.680, 0.871, 0.866], [0.255, 0.640, 0.866], [0.757, 0.641, 0.864], [0.012, 0.827, 0.410], [0.512, 0.827, 0.411], [0.403, 0.975, 0.409], [0.901, 0.977, 0.411], [0.087, 0.198, 0.410], [0.585, 0.196, 0.410], [0.012, 0.194, 0.910], [0.511, 0.195, 0.911], [0.085, 0.977, 0.910], [0.586, 0.976, 0.912], [0.401, 0.827, 0.912], [0.904, 0.830, 0.910], [0.490, 0.173, 0.589], [0.990, 0.174, 0.589], [0.097, 0.018, 0.589], [0.596, 0.021, 0.590], [0.414, 0.808, 0.590], [0.912, 0.806, 0.588], [0.488, 0.802, 0.090], [0.992, 0.810, 0.090], [0.412, 0.021, 0.090], [0.914, 0.021, 0.088], [0.098, 0.172, 0.091], [0.597, 0.176, 0.088], [0.346, 0.163, 0.744], [0.845, 0.161, 0.743], [0.236, 0.310, 0.744], [0.735, 0.307, 0.743], [0.418, 0.530, 0.743], [0.919, 0.528, 0.744], [0.345, 0.525, 0.244], [0.846, 0.529, 0.244], [0.417, 0.309, 0.245], [0.919, 0.306, 0.242], [0.238, 0.169, 0.244], [0.735, 0.161, 0.244], [0.320, 0.506, 0.924], [0.824, 0.509, 0.923], [0.432, 0.358, 0.923], [0.932, 0.355, 0.924], [0.246, 0.136, 0.923], [0.747, 0.135, 0.924], [0.324, 0.138, 0.422], [0.820, 0.136, 0.423], [0.248, 0.359, 0.423], [0.746, 0.355, 0.422], [0.431, 0.506, 0.423], [0.932, 0.506, 0.423], [0.177, 0.493, 0.077], [0.678, 0.497, 0.077], [0.071, 0.647, 0.077], [0.569, 0.643, 0.076], [0.252, 0.861, 0.076], [0.753, 0.860, 0.077], [0.180, 0.862, 0.577], [0.676, 0.860, 0.577], [0.254, 0.647, 0.577], [0.751, 0.641, 0.577], [0.069, 0.496, 0.578], [0.570, 0.494, 0.577], [0.158, 0.847, 0.257], [0.652, 0.841, 0.259], [0.266, 0.688, 0.258], [0.766, 0.689, 0.259], [0.079, 0.467, 0.258], [0.577, 0.467, 0.259], [0.153, 0.464, 0.759], [0.655, 0.466, 0.759], [0.079, 0.693, 0.759], [0.578, 0.690, 0.758], [0.267, 0.844, 0.758], [0.768, 0.842, 0.759]]
}

=====

{
  "formula": "HfAl",
  "functional": "PBE",
  "state": "optimized geometry",
  "e_tot_ev_per_cell": -29.0,
  "vol_a3_per_atom": 19.0,
  "formation_enthalpy_0k_mev_per_atom": -402,
  "sg": "Cmcm, No. 63",
  "rho_g_cm3": 8.963,
  "lattice_angstrom": [[0.340, 1.731, -2.732], [-3.541, -1.838, -1.606], [-3.206, 3.112, 3.508]],
  "species": ["Hf", "Hf", "Al", "Al"],
  "frac_coords": [[0.164, 0.250, 0.327], [0.836, 0.750, 0.673], [0.430, 0.250, 0.860], [0.570, 0.750, 0.140]]
}

=====

{
  "formula": "K3GeTe3",
  "functional": "PBE",
  "state": "optimized geometry",
  "e_tot_ev_per_cell": -92.0,
  "vol_a3_per_atom": 39.4,
  "formation_enthalpy_0k_mev_per_atom": -984,
  "sg": "C2/c, No. 15",
  "rho_g_cm3": 3.450,
  "lattice_angstrom": [[-6.703, -0.346, 8.298], [4.756, -7.759, 5.576], [5.315, 6.204, 5.482]],
  "species": ["K", "K", "K", "K", "K", "K", "K", "K", "K", "K", "K", "K", "Ge", "Ge", "Ge", "Ge", "Te", "Te", "Te", "Te", "Te", "Te", "Te", "Te", "Te", "Te", "Te", "Te"],
  "frac_coords": [[0.225, 0.248, 0.775], [0.752, 0.775, 0.725], [0.775, 0.752, 0.225], [0.248, 0.225, 0.275], [0.810, 0.368, 0.865], [0.632, 0.190, 0.635], [0.190, 0.632, 0.135], [0.368, 0.810, 0.365], [0.403, 0.597, 0.750], [0.597, 0.403, 0.250], [0.094, 0.906, 0.750], [0.906, 0.094, 0.250], [0.568, 0.076, 0.041], [0.924, 0.432, 0.459], [0.432, 0.924, 0.959], [0.076, 0.568, 0.541], [0.568, 0.053, 0.309], [0.947, 0.432, 0.191], [0.432, 0.947, 0.691], [0.053, 0.568, 0.809], [0.477, 0.310, 0.962], [0.690, 0.523, 0.538], [0.523, 0.690, 0.038], [0.310, 0.477, 0.462], [0.801, 0.022, 0.937], [0.978, 0.199, 0.563], [0.199, 0.978, 0.063], [0.022, 0.801, 0.437]]
}

=====

{
  "formula": "MoW3Se2S6",
  "functional": "PBE",
  "state": "optimized geometry",
  "e_above_lowest_polymorph_mev_per_atom": 18,
  "e_tot_ev_per_cell": -90.6,
  "vol_a3_per_atom": 27.3,
  "formation_enthalpy_0k_mev_per_atom": -1005,
  "sg": "P3m1, No. 156",
  "rho_g_cm3": 5.058,
  "lattice_angstrom": [[1.612, -2.792, 0.000], [1.612, 2.792, 0.000], [0.000, 0.000, 36.397]],
  "species": ["Mo", "W", "W", "W", "Se", "Se", "S", "S", "S", "S", "S", "S"],
  "frac_coords": [[0.000, 0.000, 0.094], [0.000, 0.000, 0.470], [0.333, 0.667, 0.282], [0.333, 0.667, 0.658], [0.000, 0.000, 0.329], [0.000, 0.000, 0.235], [0.000, 0.000, 0.700], [0.333, 0.667, 0.051], [0.333, 0.667, 0.427], [0.333, 0.667, 0.137], [0.333, 0.667, 0.513], [0.000, 0.000, 0.615]]
}

=====

{
  "formula": "ErMgHg2",
  "functional": "PBE",
  "state": "optimized geometry",
  "e_tot_ev_per_cell": -8.6,
  "vol_a3_per_atom": 22.9,
  "formation_enthalpy_0k_mev_per_atom": -445,
  "sg": "Fm-3m, No. 225",
  "rho_g_cm3": 10.756,
  "lattice_angstrom": [[0.000, 3.577, 3.577], [3.577, 0.000, 3.577], [3.577, 3.577, 0.000]],
  "species": ["Er", "Mg", "Hg", "Hg"],
  "frac_coords": [[0.500, 0.500, 0.500], [0.000, 0.000, 0.000], [0.250, 0.250, 0.250], [0.750, 0.750, 0.750]]
}

=====

{
  "formula": "Ca3Nb3N5",
  "functional": "PBE",
  "state": "optimized geometry",
  "e_tot_ev_per_cell": -174.5,
  "vol_a3_per_atom": 15.5,
  "formation_enthalpy_0k_mev_per_atom": -1006,
  "sg": "P-1, No. 2",
  "rho_g_cm3": 4.563,
  "lattice_angstrom": [[6.030, -0.246, -0.067], [-0.978, 7.380, 0.079], [-2.066, -2.815, 7.709]],
  "species": ["Ca", "Ca", "Ca", "Ca", "Ca", "Ca", "Nb", "Nb", "Nb", "Nb", "Nb", "Nb", "N", "N", "N", "N", "N", "N", "N", "N", "N", "N"],
  "frac_coords": [[0.800, 0.458, 0.613], [0.200, 0.542, 0.387], [0.685, 0.850, 0.891], [0.315, 0.150, 0.109], [0.665, 0.630, 0.200], [0.335, 0.370, 0.800], [0.882, 0.305, 0.948], [0.118, 0.695, 0.052], [0.743, 0.988, 0.568], [0.257, 0.012, 0.432], [0.172, 0.878, 0.702], [0.828, 0.122, 0.298], [0.012, 0.082, 0.819], [0.988, 0.918, 0.181], [0.893, 0.725, 0.501], [0.107, 0.275, 0.499], [0.757, 0.541, 0.897], [0.243, 0.459, 0.103], [0.443, 0.851, 0.594], [0.557, 0.149, 0.406], [0.287, 0.768, 0.901], [0.713, 0.232, 0.099]]
}